The following is a r²SCAN calculation of an optimized crystal structure of HfTe3O8, from the Materials Project database.

a b c (Å): 9.7774 9.7778 9.7782
angles (deg): 109.47 109.47 109.47
Last column: nearest neighbours and their distance in Å.
Sites, in units of the cell vectors:
1 Hf 0.0000 0.5000 0.0000  6 O 2.06
2 Hf 0.5000 0.5000 0.5000  6 O 2.06
3 Hf 0.0000 0.0000 0.5000  6 O 2.06
4 Hf 0.5000 0.0000 0.0000  6 O 2.06
5 Te 0.9552 0.7499 0.7051  2 O 1.87
6 Te 0.2497 0.7947 0.5448  2 O 1.87
7 Te 0.7049 0.9552 0.7498  2 O 1.87
8 Te 0.7502 0.7054 0.9550  2 O 1.87
9 Te 0.7947 0.5448 0.2497  2 O 1.87
10 Te 0.5449 0.2502 0.7951  2 O 1.87
11 Te 0.0448 0.2500 0.2950  2 O 1.87
12 Te 0.7498 0.2050 0.4551  2 O 1.87
13 Te 0.2951 0.0448 0.2502  2 O 1.87
14 Te 0.2498 0.2946 0.0450  2 O 1.87
15 Te 0.2050 0.4551 0.7498  2 O 1.87
16 Te 0.4550 0.7495 0.2048  2 O 1.87
17 O 0.6642 0.5000 0.0001  3 Te 2.15-2.16
18 O 0.8358 0.8357 0.8358  3 Te 2.15-2.16
19 O 0.0001 0.6643 0.5001  3 Te 2.15
20 O 0.5001 0.0000 0.6642  3 Te 2.15
21 O 0.3358 0.5001 0.0001  3 Te 2.15-2.16
22 O 0.1642 0.1642 0.1642  3 Te 2.15
23 O 0.0000 0.3358 0.5000  3 Te 2.15
24 O 0.5000 0.0001 0.3358  3 Te 2.15-2.16
25 O 0.1637 0.2386 0.7019  1 Te 1.87, 1 Hf 2.06
26 O 0.0366 0.4618 0.7981  1 Te 1.87, 1 Hf 2.06
27 O 0.3363 0.0381 0.0749  1 Te 1.87, 1 Hf 2.06
28 O 0.7981 0.0367 0.4619  1 Te 1.87, 1 Hf 2.06
29 O 0.2386 0.7019 0.1637  1 Te 1.87, 1 Hf 2.06
30 O 0.2615 0.4252 0.4633  1 Te 1.87, 1 Hf 2.06
31 O 0.4251 0.4633 0.2615  1 Te 1.87, 1 Hf 2.06
32 O 0.4619 0.7981 0.0367  1 Te 1.87, 1 Hf 2.06
33 O 0.5367 0.7385 0.5748  1 Te 1.87, 1 Hf 2.06
34 O 0.2982 0.8363 0.7615  1 Te 1.87, 1 Hf 2.06
35 O 0.9619 0.9252 0.6637  1 Te 1.87, 1 Hf 2.06
36 O 0.9252 0.6637 0.9619  1 Te 1.87, 1 Hf 2.06
37 O 0.5382 0.2019 0.9634  1 Te 1.87, 1 Hf 2.06
38 O 0.5749 0.5367 0.7386  1 Te 1.87, 1 Hf 2.06
39 O 0.7386 0.5749 0.5367  1 Te 1.87, 1 Hf 2.06
40 O 0.7615 0.2982 0.8364  1 Te 1.87, 1 Hf 2.06
41 O 0.2018 0.9633 0.5381  1 Te 1.87, 1 Hf 2.06
42 O 0.6637 0.9619 0.9251  1 Te 1.87, 1 Hf 2.06
43 O 0.9633 0.5382 0.2019  1 Te 1.87, 1 Hf 2.06
44 O 0.8363 0.7615 0.2981  1 Te 1.87, 1 Hf 2.06
45 O 0.4634 0.2615 0.4252  1 Te 1.87, 1 Hf 2.06
46 O 0.7019 0.1637 0.2386  1 Te 1.87, 1 Hf 2.06
47 O 0.0382 0.0748 0.3363  1 Te 1.87, 1 Hf 2.06
48 O 0.0748 0.3363 0.0382  1 Te 1.87, 1 Hf 2.06

Computed properties:
DFT formation energy = -1.834 eV per atom
SG = Ia-3, No. 206